Entry 1:
DFT (GGA-PBE) results for a geometry-optimized NbO2F structure.

Structure (CIF):
```
data_NbO2F
_cell_length_a 5.185
_cell_length_b 5.422
_cell_length_c 9.032
_cell_angle_alpha 90.00
_cell_angle_beta 90.00
_cell_angle_gamma 90.00
_symmetry_space_group_name_H-M 'P 21 21 21'
_symmetry_Int_Tables_number 19
loop_
_symmetry_equiv_pos_as_xyz
'x,y,z'
'-x+1/2,-y,z+1/2'
'x+1/2,-y+1/2,-z'
'-x,y+1/2,-z+1/2'
loop_
_atom_site_label
_atom_site_type_symbol
_atom_site_fract_x
_atom_site_fract_y
_atom_site_fract_z
_atom_site_occupancy
Nb1 Nb 0.151 0.137 0.129 1
O1 O 0.046 0.657 0.538 1
O2 O 0.059 0.404 0.253 1
F1 F 0.089 0.123 0.622 1
```

Summary:
Energy, eV/atom: -8.120
Calculated formation energy, meV/atom: -3101
Mass density, Mg/m³: 3.76
Maximum piezoelectric response, C/m2: 0.6


Entry 2:
DFT (GGA-PBE) results for a geometry-optimized SrTa2Bi2O9 structure.

Structure (CIF):
```
data_SrTa2Bi2O9
_cell_length_a 3.937
_cell_length_b 3.937
_cell_length_c 25.170
_cell_angle_alpha 90.00
_cell_angle_beta 90.00
_cell_angle_gamma 90.00
_symmetry_space_group_name_H-M 'I 4/m m m'
_symmetry_Int_Tables_number 139
_symmetry_space_group_name_Hall '-I 4 2'
loop_
_atom_site_label
_atom_site_type_symbol
_atom_site_fract_x
_atom_site_fract_y
_atom_site_fract_z
_atom_site_occupancy
Sr1 Sr 0.000 0.000 0.000 1
Ta1 Ta 0.000 0.000 0.415 1
Bi1 Bi 0.000 0.000 0.201 1
O1 O 0.000 0.000 0.339 1
O2 O 0.000 0.000 0.500 1
O3 O 0.000 0.500 0.076 1
O4 O 0.000 0.500 0.250 1
```

Summary:
Energy, eV/atom: -7.925
Calculated formation energy, meV/atom: -2815
Energy above the most stable polymorph in this dataset, eV per atom: 0.024
Mass density, Mg/m³: 8.61